[1]
The following is a DFT calculation (PBE+U) of LiVSiO4 after structural relaxation.

Cell: 10.2464 10.2464 17.5143 Å, 71.63 71.63 58.70°
Closest atoms and distances in Å follow each position.
Fractional coordinates of all 112 atoms:
O  0.3509  0.4215  0.2966  1 Si 1.65
O  0.4598  0.5146  0.3830  1 Si 1.65
O  0.0486  0.8623  0.6051  1 Si 1.64
O  0.5853  0.6429  0.2030  1 Si 1.65
O  0.6768  0.1752  0.5458  1 Si 1.65
O  0.5146  0.4598  0.8830  1 Si 1.65
O  0.3596  0.0476  0.1066  1 Si 1.65
O  0.8191  0.8938  0.4552  1 Si 1.65
O  0.3837  0.2755  0.6350  1 Si 1.65
O  0.6003  0.1778  0.0448  1 Si 1.65
O  0.1347  0.9684  0.8887  1 Si 1.64
O  0.9796  0.5509  0.1107  1 Si 1.64
O  0.3302  0.3205  0.9549  1 Si 1.65
O  0.3143  0.1042  0.8572  1 Si 1.64
O  0.8177  0.3942  0.4545  1 Si 1.65
O  0.6771  0.6770  0.0443  1 Si 1.65
O  0.4667  0.0124  0.3837  1 Si 1.64
O  0.8330  0.3210  0.9543  1 Si 1.65
O  0.0788  0.1279  0.2074  1 Si 1.65
O  0.0124  0.4667  0.8837  1 Si 1.64
O  0.3210  0.8330  0.4543  1 Si 1.65
O  0.6099  0.2232  0.3590  1 Si 1.65
O  0.7726  0.3862  0.1361  1 Si 1.65
O  0.9684  0.1347  0.3887  1 Si 1.64
O  0.0835  0.6300  0.2062  1 Si 1.65
O  0.6770  0.6771  0.5443  1 Si 1.65
O  0.8623  0.0486  0.1051  1 Si 1.64
O  0.4215  0.3509  0.7966  1 Si 1.65
O  0.1042  0.3143  0.3572  1 Si 1.64
O  0.7014  0.8890  0.1358  1 Si 1.65
O  0.3205  0.3302  0.4549  1 Si 1.65
O  0.3862  0.7726  0.6361  1 Si 1.65
O  0.0476  0.3596  0.6066  1 Si 1.65
O  0.9692  0.6354  0.3889  1 Si 1.64
O  0.6429  0.5853  0.7030  1 Si 1.65
O  0.6354  0.9692  0.8889  1 Si 1.64
O  0.2755  0.3837  0.1350  1 Si 1.65
O  0.2232  0.6099  0.8590  1 Si 1.65
O  0.5544  0.4792  0.6120  1 Si 1.64
O  0.7215  0.6097  0.8585  1 Si 1.65
O  0.5509  0.9796  0.6107  1 Si 1.64
O  0.1811  0.0983  0.5464  1 Si 1.65
O  0.8890  0.7014  0.6358  1 Si 1.65
O  0.4216  0.8470  0.7966  1 Si 1.65
O  0.8938  0.8191  0.9552  1 Si 1.65
O  0.8876  0.1995  0.6349  1 Si 1.64
O  0.9283  0.3535  0.7957  1 Si 1.65
O  0.8470  0.4216  0.2966  1 Si 1.65
O  0.5819  0.1404  0.2036  1 Si 1.65
O  0.1995  0.8876  0.1349  1 Si 1.64
O  0.1279  0.0788  0.7074  1 Si 1.65
O  0.8140  0.1066  0.8577  1 Si 1.65
O  0.8525  0.9229  0.2959  1 Si 1.65
O  0.9229  0.8525  0.7959  1 Si 1.65
O  0.0983  0.1811  0.0464  1 Si 1.65
O  0.1752  0.6768  0.0458  1 Si 1.65
O  0.1404  0.5819  0.7036  1 Si 1.65
O  0.3942  0.8177  0.9545  1 Si 1.65
O  0.4792  0.5544  0.1120  1 Si 1.64
O  0.6300  0.0835  0.7062  1 Si 1.65
O  0.1778  0.6003  0.5448  1 Si 1.65
O  0.3535  0.9283  0.2957  1 Si 1.65
O  0.6097  0.7215  0.3585  1 Si 1.65
O  0.1066  0.8140  0.3577  1 Si 1.65
Li  0.2643  0.1821  0.4361  4 O 1.97-2.09
Li  0.7649  0.1179  0.4372  4 O 1.96-2.07
Li  0.2630  0.6844  0.4360  4 O 1.96-2.06
Li  0.6180  0.7652  0.9367  4 O 1.95-2.07
Li  0.1821  0.2643  0.9361  4 O 1.97-2.09
Li  0.6844  0.2630  0.9360  4 O 1.96-2.06
Li  0.9352  0.3663  0.1873  4 O 1.96-2.12
Li  0.1179  0.7649  0.9372  4 O 1.96-2.07
Li  0.7652  0.6180  0.4367  4 O 1.95-2.07
Li  0.8811  0.4960  0.6880  4 O 2.01-2.07
Li  0.4960  0.8811  0.1880  4 O 2.01-2.07
Li  0.9944  0.8730  0.1879  4 O 2.01-2.11
Li  0.8730  0.9944  0.6879  4 O 2.01-2.11
Li  0.3663  0.9352  0.6873  4 O 1.96-2.12
Li  0.4375  0.3731  0.1845  4 O 1.99-2.06
Li  0.3731  0.4375  0.6845  4 O 1.99-2.06
Si  0.4393  0.8748  0.3738  4 O 1.64-1.65
Si  0.8145  0.9385  0.8754  4 O 1.64-1.65
Si  0.9367  0.3144  0.3748  4 O 1.64-1.65
Si  0.6892  0.0611  0.1222  4 O 1.64-1.65
Si  0.5632  0.6265  0.6244  4 O 1.64-1.65
Si  0.9385  0.8145  0.3754  4 O 1.64-1.65
Si  0.5591  0.1268  0.6240  4 O 1.64-1.65
Si  0.1870  0.0591  0.1229  4 O 1.64-1.65
Si  0.0611  0.6892  0.6222  4 O 1.64-1.65
Si  0.3144  0.9367  0.8748  4 O 1.64-1.65
Si  0.4366  0.3734  0.3737  4 O 1.65
Si  0.1268  0.5591  0.1240  4 O 1.64-1.65
Si  0.6265  0.5632  0.1244  4 O 1.64-1.65
Si  0.8748  0.4393  0.8738  4 O 1.64-1.65
Si  0.3734  0.4366  0.8737  4 O 1.65
Si  0.0591  0.1870  0.6229  4 O 1.64-1.65
V  0.3125  0.7382  0.0636  4 O 1.92-1.95
V  0.3810  0.2359  0.0626  4 O 1.92-1.95
V  0.2359  0.3810  0.5626  4 O 1.92-1.95
V  0.7384  0.8121  0.5645  4 O 1.93-1.95
V  0.8121  0.7384  0.0645  4 O 1.93-1.95
V  0.5619  0.6256  0.8136  4 O 1.93-1.94
V  0.0010  0.1306  0.8133  4 O 1.94-1.95
V  0.6298  0.0634  0.3129  4 O 1.94-1.95
V  0.1306  0.0010  0.3133  4 O 1.94-1.95
V  0.1277  0.5015  0.3126  4 O 1.94
V  0.5015  0.1277  0.8126  4 O 1.94
V  0.2394  0.8792  0.5631  4 O 1.93-1.95
V  0.6256  0.5619  0.3136  4 O 1.93-1.94
V  0.0634  0.6298  0.8129  4 O 1.94-1.95
V  0.8792  0.2394  0.0631  4 O 1.93-1.95
V  0.7382  0.3125  0.5636  4 O 1.92-1.95

**Formation energy**: -19.4 eV/f.u.

[2]
The following is a DFT calculation (PBE+U) of Ca2CuWO6 after structural relaxation.

Cell: 5.5602 5.5602 5.6117 Å, 60.51 60.51 88.83°
Closest atoms and distances in Å follow each position.
Fractional coordinates of all 10 atoms:
O  0.7153  0.7153  0.0549  1 W 1.97, 1 Cu 1.99
O  0.1957  0.1957  0.5491  1 W 1.91
O  0.7115  0.2077  0.0369  1 W 1.93, 1 Cu 1.97
O  0.7268  0.7268  0.5019  1 W 1.97, 1 Cu 2.05
O  0.2077  0.7115  0.0369  1 W 1.93, 1 Cu 1.97
O  0.2111  0.2111  0.0377  1 W 1.91, 1 Cu 2.10
Ca  0.7853  0.2920  0.4588  5 O 2.42-2.62
Ca  0.2920  0.7853  0.4588  5 O 2.42-2.62
Cu  0.4904  0.4904  0.0058  5 O 1.97-2.10
W  0.9811  0.9811  0.0175  6 O 1.91-1.97

**Formation energy**: -23.7 eV/f.u.

[3]
The following is a DFT calculation (PBE+U) of BaCaEuWO6 after structural relaxation.

Cell: 6.0776 6.0776 6.0776 Å, 60.00 60.00 60.00°
Closest atoms and distances in Å follow each position.
Fractional coordinates of all 10 atoms:
Eu  0.0000  0.0000  0.0000  6 O 2.33
O  0.7289  0.7289  0.2711  1 W 1.97
O  0.2711  0.2711  0.7289  1 W 1.97
O  0.2711  0.7289  0.2711  1 W 1.97
O  0.7289  0.2711  0.7289  1 W 1.97
O  0.7289  0.2711  0.2711  1 W 1.97
O  0.2711  0.7289  0.7289  1 W 1.97
W  0.5000  0.5000  0.5000  6 O 1.97
Ca  0.7500  0.7500  0.7500  12 O 3.04
Ba  0.2500  0.2500  0.2500  12 O 3.04

**Formation energy**: -28.5 eV/f.u.

[4]
The following is a DFT calculation (PBE+U) of Li4V4O3F9 after structural relaxation.

Cell: 5.1494 5.5785 9.0951 Å, 106.38 90.43 117.15°
Closest atoms and distances in Å follow each position.
Fractional coordinates of all 20 atoms:
F  0.3966  0.6987  0.5621  2 V 1.74-1.88
F  0.6283  0.8076  0.9523  2 V 1.81-1.95
F  0.7178  0.5581  0.7086  2 Li 2.02-2.09, 1 V 2.03
F  0.1220  0.3921  0.8721  1 Li 2.06, 1 F 2.27
F  0.8903  0.1203  0.6256  2 Li 1.93-1.95
F  0.9187  0.6303  0.1154  2 Li 1.82-1.84
F  0.0998  0.8974  0.3711  1 Li 2.01
F  0.7358  0.0380  0.1925  2 Li 1.92-2.00, 1 V 2.08, 1 F 2.12
F  0.2621  0.4704  0.2988  1 V 2.02
V  0.5114  0.2717  0.2546  2 O 1.66-1.69
V  0.0586  0.0271  0.9976  1 O 1.56
V  0.4903  0.7790  0.7606  2 F 1.74-1.81, 1 O 1.89
V  0.9843  0.5124  0.5012  1 O 1.72, 1 F 1.88
O  0.6128  0.2895  0.4365  2 V 1.69-1.72
O  0.3935  0.1875  0.0680  2 V 1.56-1.66
O  0.2402  0.9436  0.8095  2 V 1.89-2.00
Li  0.7794  0.4851  0.9083  2 F 1.82-2.02
Li  0.2980  0.2018  0.6319  2 F 1.93-2.09
Li  0.3220  0.7705  0.1474  2 F 1.84-1.92
Li  0.7686  0.9948  0.4012  3 F 1.95-2.01, 1 O 2.09

**Formation energy**: -42.8 eV/f.u.

[5]
The following is a DFT calculation (PBE+U) of SrVCuHO5 after structural relaxation.

Cell: 5.9464 7.6254 9.8634 Å, 90.00 90.00 90.00°
Closest atoms and distances in Å follow each position.
Fractional coordinates of all 36 atoms:
O  0.0520  0.7103  0.4382  1 V 1.73, 1 H 1.77
O  0.2414  0.8956  0.2279  1 V 1.73
O  0.5520  0.7897  0.5618  1 V 1.73, 1 H 1.77
O  0.9480  0.2102  0.0618  1 V 1.73, 1 H 1.77
O  0.7374  0.1297  0.7436  1 V 1.73
O  0.2374  0.3703  0.2564  1 V 1.73
O  0.9992  0.8894  0.9363  1 H 0.99
O  0.4966  0.4249  0.5491  1 V 1.82
O  0.7414  0.6044  0.7721  1 V 1.73
O  0.0008  0.3894  0.5637  1 H 0.99
O  0.4480  0.2898  0.9382  1 V 1.73, 1 H 1.77
O  0.5034  0.9249  0.9509  1 V 1.82
O  0.7586  0.3956  0.2721  1 V 1.73
O  0.5008  0.1106  0.4363  1 H 0.99
O  0.4992  0.6106  0.0637  1 H 0.99
O  0.2586  0.1044  0.7279  1 V 1.73
O  0.0034  0.5751  0.0491  1 V 1.82
O  0.7626  0.8703  0.2436  1 V 1.73
O  0.9966  0.0751  0.4509  1 V 1.82
O  0.2626  0.6297  0.7564  1 V 1.73
Sr  0.0214  0.3648  0.8267  8 O 2.53-2.82
Sr  0.9786  0.8648  0.6733  8 O 2.53-2.82
Sr  0.5214  0.1352  0.1733  8 O 2.53-2.82
Sr  0.4786  0.6352  0.3267  8 O 2.53-2.82
H  0.0078  0.5027  0.5141  1 O 0.99
H  0.4922  0.4973  0.0141  1 O 0.99
H  0.9922  0.0027  0.9859  1 O 0.99
H  0.5078  0.9973  0.4859  1 O 0.99
V  0.0099  0.8906  0.3340  4 O 1.73-1.82
V  0.9901  0.3906  0.1660  4 O 1.73-1.82
V  0.4901  0.1094  0.8340  4 O 1.73-1.82
V  0.5099  0.6094  0.6660  4 O 1.73-1.82
Cu  0.2490  0.2475  0.5005  4 O 1.93-2.06
Cu  0.7490  0.2525  0.4995  4 O 1.93-2.06
Cu  0.7510  0.7475  0.9995  4 O 1.93-2.06
Cu  0.2510  0.7525  0.0005  4 O 1.93-2.06

**Formation energy**: -19.8 eV/f.u.

[6]
The following is a DFT calculation (PBE+U) of Nd2Mo4O15 after structural relaxation.

Cell: 7.5264 7.6380 11.9046 Å, 88.84 84.07 84.04°
Closest atoms and distances in Å follow each position.
Fractional coordinates of all 42 atoms:
O  0.1365  0.7731  0.6561  1 Mo 1.79
O  0.2629  0.7172  0.1957  1 Mo 1.79
O  0.0032  0.9918  0.8473  1 Mo 1.78
O  0.9968  0.0082  0.1527  1 Mo 1.78
O  0.5737  0.4071  0.1806  1 Mo 1.85
O  0.3542  0.0953  0.1869  1 Mo 1.84
O  0.0523  0.5131  0.8408  1 Mo 1.78
O  0.6653  0.7846  0.1854  1 Mo 1.79
O  0.0839  0.4736  0.4032  2 Mo 1.93-2.16
O  0.2960  0.4303  0.5902  1 Mo 1.76
O  0.3347  0.2154  0.8146  1 Mo 1.79
O  0.3320  0.7080  0.4411  2 Mo 1.85-2.01
O  0.6680  0.2920  0.5589  2 Mo 1.85-2.01
O  0.8635  0.2269  0.3439  1 Mo 1.79
O  0.7371  0.2828  0.8043  1 Mo 1.79
O  0.5781  0.7348  0.6212  1 Mo 1.80
O  0.0327  0.1700  0.5382  1 Mo 1.72
O  0.4219  0.2652  0.3788  1 Mo 1.80
O  0.7040  0.5697  0.4098  1 Mo 1.76
O  0.7255  0.5919  0.9794  1 Mo 1.78
O  0.4263  0.5929  0.8194  1 Mo 1.85
O  0.2745  0.4081  0.0206  1 Mo 1.78
O  0.3796  0.0529  0.5961  1 Mo 1.79
O  0.7054  0.0965  0.0176  1 Mo 1.78
O  0.6204  0.9471  0.4039  1 Mo 1.79
O  0.9161  0.5264  0.5968  2 Mo 1.93-2.16
O  0.6458  0.9047  0.8131  1 Mo 1.84
O  0.9477  0.4869  0.1592  1 Mo 1.78
O  0.9673  0.8300  0.4618  1 Mo 1.72
O  0.2946  0.9035  0.9824  1 Mo 1.78
Mo  0.2282  0.9292  0.1293  4 O 1.78-1.84
Mo  0.7718  0.0708  0.8707  4 O 1.78-1.84
Mo  0.2718  0.4301  0.8718  4 O 1.78-1.85
Mo  0.7282  0.5699  0.1282  4 O 1.78-1.85
Mo  0.0958  0.6698  0.5292  2 O 1.72-1.79
Mo  0.5610  0.7472  0.4717  4 O 1.76-1.85
Mo  0.9042  0.3302  0.4708  2 O 1.72-1.79
Mo  0.4390  0.2528  0.5283  4 O 1.76-1.85
Nd  0.3195  0.9106  0.7762  7 O 2.40-2.54
Nd  0.2471  0.4140  0.2231  7 O 2.35-2.56
Nd  0.6805  0.0894  0.2238  7 O 2.40-2.54
Nd  0.7529  0.5860  0.7769  7 O 2.35-2.56

**Formation energy**: -52.2 eV/f.u.

[7]
The following is a DFT calculation (PBE+U) of Ga2NiO4 after structural relaxation.

Cell: 5.9474 5.9474 5.9474 Å, 60.00 60.00 60.00°
Closest atoms and distances in Å follow each position.
Fractional coordinates of all 14 atoms:
O  0.3862  0.8415  0.3862  1 Ni 1.98, 3 Ga 2.01
O  0.3862  0.3862  0.8415  1 Ni 1.98, 3 Ga 2.01
O  0.3862  0.3862  0.3862  1 Ni 1.98, 3 Ga 2.01
O  0.4085  0.8638  0.8638  1 Ni 1.98, 3 Ga 2.01
O  0.8638  0.8638  0.8638  1 Ni 1.98, 3 Ga 2.01
O  0.8638  0.8638  0.4085  1 Ni 1.98, 3 Ga 2.01
O  0.8638  0.4085  0.8638  1 Ni 1.98, 3 Ga 2.01
O  0.8415  0.3862  0.3862  1 Ni 1.98, 3 Ga 2.01
Ni  0.2500  0.2500  0.2500  4 O 1.98
Ni  0.0000  0.0000  0.0000  4 O 1.98
Ga  0.6250  0.6250  0.1250  6 O 2.01
Ga  0.6250  0.6250  0.6250  6 O 2.01
Ga  0.6250  0.1250  0.6250  6 O 2.01
Ga  0.1250  0.6250  0.6250  6 O 2.01

**Formation energy**: -12.5 eV/f.u.

[8]
The following is a DFT calculation (PBE+U) of Li4Mn2NbNi3P6O24 after structural relaxation.

Cell: 8.5487 8.6407 8.6523 Å, 62.06 62.45 62.34°
Closest atoms and distances in Å follow each position.
Fractional coordinates of all 40 atoms:
Li  0.3593  0.1570  0.6948  2 O 1.96-2.06
Li  0.2564  0.6455  0.8503  4 O 2.10-2.16
Li  0.1581  0.6910  0.3599  2 O 1.94-2.10
Li  0.6948  0.3563  0.1597  2 O 1.94-2.08
O  0.4445  0.5842  0.2340  1 P 1.59
O  0.2500  0.8968  0.0915  1 P 1.61
O  0.8233  0.0086  0.6038  1 P 1.50
O  0.7583  0.5677  0.4072  1 P 1.53
O  0.8960  0.0846  0.2549  1 P 1.62
O  0.5426  0.4163  0.7687  1 P 1.55
O  0.6911  0.8910  0.4844  1 P 1.50
O  0.3955  0.1799  0.9991  1 P 1.58
O  0.0461  0.6013  0.8167  1 P 1.52
O  0.9422  0.7390  0.0894  1 P 1.55
O  0.3129  0.1051  0.5255  1 P 1.52
O  0.1050  0.5210  0.3182  1 P 1.53
O  0.4508  0.6964  0.8951  1 P 1.53
O  0.1837  0.9931  0.3990  1 P 1.57
O  0.5884  0.2377  0.4424  1 P 1.59
O  0.4023  0.7569  0.5689  1 P 1.55
O  0.8845  0.5059  0.7051  1 P 1.50
O  0.1012  0.9232  0.7506  1 P 1.55
O  0.6098  0.8109  0.9891  1 P 1.50
O  0.9909  0.3941  0.1916  1 P 1.58
O  0.2430  0.4375  0.5873  1 P 1.58
O  0.5291  0.3071  0.1055  1 P 1.53
O  0.7469  0.0988  0.9191  1 P 1.53
O  0.0831  0.2578  0.9003  1 P 1.61
Nb  0.1467  0.1486  0.1522  6 O 1.99-2.16
P  0.9469  0.5585  0.2552  4 O 1.53-1.58
P  0.2520  0.9493  0.5589  4 O 1.52-1.57
P  0.0534  0.4621  0.7504  4 O 1.50-1.61
P  0.7481  0.0435  0.4603  4 O 1.50-1.62
P  0.5592  0.2509  0.9478  4 O 1.53-1.58
P  0.4512  0.7461  0.0426  4 O 1.50-1.61
Ni  0.8575  0.8530  0.8512  6 O 2.00-2.14
Ni  0.6436  0.6490  0.6462  6 O 2.00-2.16
Ni  0.3529  0.3472  0.3502  6 O 2.00-2.18
Mn  0.5133  0.5006  0.4961  6 O 2.13-2.31
Mn  0.9853  0.0030  0.9999  6 O 2.13-2.37

**Formation energy**: -97.4 eV/f.u.